A relaxed structure of Ba2YMn3O7, computed with PBE with a Hubbard U. Values from VASP.

Geometry as Quantum ESPRESSO input:
```
&SYSTEM
  ibrav = 0, nat = 26, ntyp = 4
/
ATOMIC_SPECIES
Ba 137.33 Ba.upf
Y 88.91 Y.upf
Mn 54.94 Mn.upf
O 16.00 O.upf
CELL_PARAMETERS angstrom
4.1025 -11.8869 0.0000
4.1025 11.8869 0.0000
0.0000 0.0000 3.9225
ATOMIC_POSITIONS crystal
Ba 0.1577 0.3408 0.0000
Ba 0.3408 0.1577 0.0000
Ba 0.6592 0.8423 0.0000
Ba 0.8423 0.6592 0.0000
Y 0.0000 0.5000 0.0000
Y 0.5000 0.0000 0.0000
Mn 0.0000 0.0000 0.5000
Mn 0.1746 0.8254 0.5000
Mn 0.3290 0.6710 0.5000
Mn 0.5000 0.5000 0.5000
Mn 0.6710 0.3290 0.5000
Mn 0.8254 0.1746 0.5000
O 0.0476 0.4274 0.5000
O 0.0846 0.9154 0.5000
O 0.1865 0.8135 0.0000
O 0.2647 0.2647 0.5000
O 0.3044 0.6956 0.0000
O 0.4182 0.5818 0.5000
O 0.4274 0.0476 0.5000
O 0.5726 0.9524 0.5000
O 0.5818 0.4182 0.5000
O 0.6956 0.3044 0.0000
O 0.7353 0.7353 0.5000
O 0.8135 0.1865 0.0000
O 0.9154 0.0846 0.5000
O 0.9524 0.5726 0.5000
```

Values from the calculation:
Polymorph energy (0 for the lowest one)   2 meV/atom
ΔH_f (0 K)   -2640 meV per atom

A relaxed structure of CaEuFe4O12, computed with PBE with a Hubbard U. Values from VASP.

Geometry as Quantum ESPRESSO input:
```
&SYSTEM
  ibrav = 0, nat = 18, ntyp = 4
/
ATOMIC_SPECIES
Ca 40.08 Ca.upf
Eu 151.96 Eu.upf
Fe 55.84 Fe.upf
O 16.00 O.upf
CELL_PARAMETERS angstrom
5.3458 0.0000 0.0000
0.0000 5.3458 0.0000
0.0000 0.0000 7.6195
ATOMIC_POSITIONS crystal
Ca 0.0000 0.0000 0.0000
Eu 0.5000 0.5000 0.5000
Fe 0.0000 0.5000 0.2483
Fe 0.0000 0.5000 0.7517
Fe 0.5000 0.0000 0.2483
Fe 0.5000 0.0000 0.7517
O 0.0000 0.5000 0.0000
O 0.0000 0.5000 0.5000
O 0.2531 0.2531 0.2557
O 0.2531 0.2531 0.7443
O 0.2531 0.7469 0.2557
O 0.2531 0.7469 0.7443
O 0.5000 0.0000 0.0000
O 0.5000 0.0000 0.5000
O 0.7469 0.2531 0.2557
O 0.7469 0.2531 0.7443
O 0.7469 0.7469 0.2557
O 0.7469 0.7469 0.7443
```

Values from the calculation:
ΔH_f (0 K)   -1537 meV per atom

A relaxed structure of MgFe5CuO8, computed with PBE with a Hubbard U. Values from VASP.

Geometry as Quantum ESPRESSO input:
```
&SYSTEM
  ibrav = 0, nat = 15, ntyp = 4
/
ATOMIC_SPECIES
Mg 24.30 Mg.upf
Fe 55.84 Fe.upf
Cu 63.55 Cu.upf
O 16.00 O.upf
CELL_PARAMETERS angstrom
3.0158 1.7412 5.3380
-3.0158 1.7412 5.3380
0.0000 -3.4824 5.3380
ATOMIC_POSITIONS crystal
Mg 0.0000 0.0000 0.0000
Fe 0.0000 0.5000 0.5000
Fe 0.1518 0.1518 0.1518
Fe 0.5000 0.0000 0.5000
Fe 0.5000 0.5000 0.0000
Fe 0.8482 0.8482 0.8482
Cu 0.5000 0.5000 0.5000
O 0.2313 0.7571 0.7571
O 0.2429 0.2429 0.7687
O 0.2429 0.7687 0.2429
O 0.2690 0.2690 0.2690
O 0.7310 0.7310 0.7310
O 0.7571 0.2313 0.7571
O 0.7571 0.7571 0.2313
O 0.7687 0.2429 0.2429
```

Values from the calculation:
Polymorph energy (0 for the lowest one)   207 meV/atom
ΔH_f (0 K)   -1361 meV per atom

A relaxed structure of ZnNi2O4, computed with PBE with a Hubbard U. Values from VASP.

Geometry as Quantum ESPRESSO input:
```
&SYSTEM
  ibrav = 0, nat = 14, ntyp = 3
/
ATOMIC_SPECIES
Zn 65.41 Zn.upf
Ni 58.69 Ni.upf
O 16.00 O.upf
CELL_PARAMETERS angstrom
0.0000 4.1503 4.1503
4.1503 0.0000 4.1503
4.1503 4.1503 0.0000
ATOMIC_POSITIONS crystal
Zn 0.1250 0.1250 0.1250
Zn 0.8750 0.8750 0.8750
Ni 0.0000 0.5000 0.5000
Ni 0.5000 0.0000 0.5000
Ni 0.5000 0.5000 0.0000
Ni 0.5000 0.5000 0.5000
O 0.2624 0.2624 0.2624
O 0.2624 0.2624 0.7129
O 0.2624 0.7129 0.2624
O 0.2871 0.7376 0.7376
O 0.7129 0.2624 0.2624
O 0.7376 0.2871 0.7376
O 0.7376 0.7376 0.2871
O 0.7376 0.7376 0.7376
```

Values from the calculation:
Polymorph energy (0 for the lowest one)   5 meV/atom
ΔH_f (0 K)   -1225 meV per atom

A relaxed structure of SrLaVO4, computed with PBE with a Hubbard U. Values from VASP.

Geometry as Quantum ESPRESSO input:
```
&SYSTEM
  ibrav = 0, nat = 14, ntyp = 4
/
ATOMIC_SPECIES
Sr 87.62 Sr.upf
La 138.91 La.upf
V 50.94 V.upf
O 16.00 O.upf
CELL_PARAMETERS angstrom
6.6374 -1.9747 0.0000
6.6374 1.9747 0.0000
-2.3304 0.0000 7.4916
ATOMIC_POSITIONS crystal
Sr 0.0000 0.0000 0.0000
Sr 0.9997 0.9997 0.5001
La 0.7123 0.7123 0.3567
La 0.7128 0.7128 0.8572
V 0.3585 0.3585 0.1798
V 0.3585 0.3585 0.6797
O 0.1902 0.1902 0.0964
O 0.1900 0.1900 0.5946
O 0.3522 0.3522 0.4267
O 0.3524 0.3524 0.9265
O 0.5298 0.5298 0.2647
O 0.5308 0.5308 0.7664
O 0.8489 0.8489 0.1751
O 0.8498 0.8498 0.6751
```

Values from the calculation:
Polymorph energy (0 for the lowest one)   14 meV/atom
ΔH_f (0 K)   -3218 meV per atom

A relaxed structure of ZnCrP2O7, computed with PBE with a Hubbard U. Values from VASP.

Geometry as Quantum ESPRESSO input:
```
&SYSTEM
  ibrav = 0, nat = 22, ntyp = 4
/
ATOMIC_SPECIES
Zn 65.41 Zn.upf
Cr 52.00 Cr.upf
P 30.97 P.upf
O 16.00 O.upf
CELL_PARAMETERS angstrom
6.3736 0.0000 0.0000
0.9926 6.3698 0.0000
1.9073 2.1943 6.6640
ATOMIC_POSITIONS crystal
Zn 0.0812 0.2116 0.3135
Zn 0.9188 0.7884 0.6865
Cr 0.3185 0.4060 0.7205
Cr 0.6815 0.5940 0.2795
P 0.1714 0.7132 0.2634
P 0.3820 0.8611 0.8181
P 0.6180 0.1389 0.1819
P 0.8286 0.2868 0.7366
O 0.0123 0.5576 0.2577
O 0.0555 0.8739 0.3815
O 0.2455 0.7140 0.7700
O 0.2511 0.8748 0.0424
O 0.3575 0.5725 0.3495
O 0.3687 0.0993 0.6878
O 0.3894 0.2412 0.1592
O 0.6106 0.7588 0.8408
O 0.6313 0.9007 0.3122
O 0.6425 0.4275 0.6505
O 0.7489 0.1252 0.9576
O 0.7545 0.2860 0.2300
O 0.9445 0.1261 0.6185
O 0.9877 0.4424 0.7423
```

Values from the calculation:
Polymorph energy (0 for the lowest one)   5 meV/atom
ΔH_f (0 K)   -2459 meV per atom

A relaxed structure of LiTi3VO8, computed with PBE with a Hubbard U. Values from VASP.

Geometry as Quantum ESPRESSO input:
```
&SYSTEM
  ibrav = 0, nat = 52, ntyp = 4
/
ATOMIC_SPECIES
Li 6.94 Li.upf
Ti 47.87 Ti.upf
V 50.94 V.upf
O 16.00 O.upf
CELL_PARAMETERS angstrom
-3.6455 -4.1977 -2.5646
1.6956 -8.8630 5.1116
-7.0398 1.0457 7.6528
ATOMIC_POSITIONS crystal
Li 0.8750 0.2500 0.6250
Li 0.6250 0.7500 0.8750
Li 0.3750 0.2500 0.1250
Li 0.1250 0.7500 0.3750
Ti 0.3750 0.2500 0.6250
Ti 0.1250 0.7500 0.8750
Ti 0.8750 0.2500 0.1250
Ti 0.6250 0.7500 0.3750
Ti 0.5000 0.5000 0.5000
Ti 0.2500 0.0000 0.7500
Ti 0.0000 0.5000 0.0000
Ti 0.7500 0.0000 0.2500
Ti 0.6250 0.2500 0.3750
Ti 0.3750 0.7500 0.6250
Ti 0.1250 0.2500 0.8750
Ti 0.8750 0.7500 0.1250
V 0.2500 0.5000 0.7500
V 0.0000 0.0000 0.0000
V 0.7500 0.5000 0.2500
V 0.5000 0.0000 0.5000
O 0.3533 0.3659 0.4511
O 0.1033 0.8659 0.7011
O 0.8533 0.3659 0.9511
O 0.6033 0.8659 0.2011
O 0.6467 0.6341 0.5489
O 0.3967 0.1341 0.7989
O 0.1467 0.6341 0.0489
O 0.8967 0.1341 0.2989
O 0.2294 0.6202 0.5696
O 0.9794 0.1202 0.8197
O 0.7294 0.6202 0.0696
O 0.4794 0.1203 0.3196
O 0.4691 0.6202 0.3299
O 0.2191 0.1202 0.5799
O 0.9692 0.6203 0.8299
O 0.7191 0.1202 0.0799
O 0.3493 0.8600 0.4498
O 0.0993 0.3600 0.6998
O 0.8493 0.8600 0.9498
O 0.5993 0.3600 0.1998
O 0.6507 0.1400 0.5502
O 0.4007 0.6400 0.8002
O 0.1507 0.1400 0.0502
O 0.9007 0.6400 0.3002
O 0.5309 0.3798 0.6701
O 0.2808 0.8797 0.9201
O 0.0309 0.3798 0.1701
O 0.7809 0.8798 0.4201
O 0.7706 0.3797 0.4304
O 0.5206 0.8798 0.6804
O 0.2706 0.3797 0.9303
O 0.0206 0.8798 0.1804
```

Values from the calculation:
ΔH_f (0 K)   -3102 meV per atom

A relaxed structure of Li9Mn2Co5O16, computed with PBE with a Hubbard U. Values from VASP.

Geometry as Quantum ESPRESSO input:
```
&SYSTEM
  ibrav = 0, nat = 32, ntyp = 4
/
ATOMIC_SPECIES
Li 6.94 Li.upf
Mn 54.94 Mn.upf
Co 58.93 Co.upf
O 16.00 O.upf
CELL_PARAMETERS angstrom
2.9068 0.0000 0.0000
1.4438 6.4280 0.0000
0.1984 0.4860 15.3933
ATOMIC_POSITIONS crystal
Li 0.0000 0.0000 0.0000
Li 0.0449 0.8837 0.1790
Li 0.1861 0.6313 0.5565
Li 0.3266 0.3653 0.9390
Li 0.4501 0.1296 0.3116
Li 0.5523 0.8790 0.6871
Li 0.6752 0.6422 0.0572
Li 0.8150 0.3811 0.4340
Li 0.9468 0.1239 0.8138
Mn 0.2479 0.5035 0.7497
Mn 0.3654 0.2424 0.1196
Co 0.1340 0.7580 0.3728
Co 0.4997 0.0080 0.4976
Co 0.6108 0.7805 0.8817
Co 0.7401 0.5080 0.2464
Co 0.8697 0.2509 0.6210
O 0.0110 0.9485 0.5870
O 0.1091 0.7874 0.7826
O 0.1541 0.6857 0.9584
O 0.1946 0.5486 0.1585
O 0.2923 0.4520 0.3346
O 0.3370 0.3105 0.5322
O 0.3932 0.2125 0.7130
O 0.4777 0.0534 0.9001
O 0.5078 0.9658 0.0953
O 0.5835 0.8089 0.2858
O 0.6803 0.7033 0.4620
O 0.7237 0.5576 0.6654
O 0.7724 0.4460 0.8296
O 0.8370 0.3097 0.0406
O 0.8798 0.2039 0.2065
O 0.9943 0.0628 0.4091
```

Values from the calculation:
Polymorph energy (0 for the lowest one)   40 meV/atom
ΔH_f (0 K)   -1824 meV per atom

A relaxed structure of Fe2O3, computed with PBE with a Hubbard U. Values from VASP.

Geometry as Quantum ESPRESSO input:
```
&SYSTEM
  ibrav = 0, nat = 160, ntyp = 2
/
ATOMIC_SPECIES
Fe 55.84 Fe.upf
O 16.00 O.upf
CELL_PARAMETERS angstrom
8.5252 0.0000 0.0000
0.0000 8.5252 0.0000
0.0000 0.0000 25.5930
ATOMIC_POSITIONS crystal
Fe 0.0013 0.2574 0.2940
Fe 0.0065 0.2587 0.6262
Fe 0.0134 0.2526 0.9608
Fe 0.1104 0.8896 0.2500
Fe 0.1145 0.6311 0.6687
Fe 0.1155 0.8787 0.5859
Fe 0.1213 0.8845 0.9141
Fe 0.1244 0.1244 0.5000
Fe 0.1240 0.6433 0.3380
Fe 0.1305 0.3634 0.7536
Fe 0.1311 0.3855 0.4187
Fe 0.1366 0.6305 0.0036
Fe 0.1433 0.3760 0.0880
Fe 0.2413 0.5065 0.8762
Fe 0.2426 0.5013 0.5440
Fe 0.2474 0.5134 0.2108
Fe 0.2526 0.0134 0.0392
Fe 0.2574 0.0013 0.7060
Fe 0.2587 0.0065 0.3738
Fe 0.3567 0.8760 0.1620
Fe 0.3634 0.1305 0.2464
Fe 0.3695 0.8634 0.4964
Fe 0.3689 0.8855 0.8313
Fe 0.3760 0.1433 0.9120
Fe 0.3756 0.6244 0.7500
Fe 0.3787 0.3845 0.3359
Fe 0.3845 0.3787 0.6641
Fe 0.3855 0.1311 0.5813
Fe 0.3896 0.3896 0.0000
Fe 0.4866 0.7526 0.2892
Fe 0.4935 0.7587 0.6238
Fe 0.4987 0.7574 0.9560
Fe 0.5013 0.2426 0.4560
Fe 0.5065 0.2413 0.1238
Fe 0.5134 0.2474 0.7892
Fe 0.6104 0.6104 0.5000
Fe 0.6145 0.8689 0.0813
Fe 0.6155 0.6213 0.1641
Fe 0.6213 0.6155 0.8359
Fe 0.6244 0.3756 0.2500
Fe 0.6240 0.8567 0.4120
Fe 0.6311 0.1145 0.3313
Fe 0.6305 0.1366 0.9964
Fe 0.6366 0.8695 0.7464
Fe 0.6433 0.1240 0.6620
Fe 0.7413 0.9935 0.8738
Fe 0.7426 0.9987 0.2060
Fe 0.7474 0.9866 0.5392
Fe 0.7526 0.4866 0.7108
Fe 0.7574 0.4987 0.0440
Fe 0.7587 0.4935 0.3762
Fe 0.8567 0.6240 0.5880
Fe 0.8634 0.3695 0.5036
Fe 0.8689 0.6145 0.9187
Fe 0.8695 0.6366 0.2536
Fe 0.8760 0.3567 0.8380
Fe 0.8756 0.8756 0.0000
Fe 0.8787 0.1155 0.4141
Fe 0.8845 0.1213 0.0859
Fe 0.8855 0.3689 0.1687
Fe 0.8896 0.1104 0.7500
Fe 0.9866 0.7474 0.4608
Fe 0.9935 0.7413 0.1262
Fe 0.9987 0.7426 0.7940
O 0.1061 0.6168 0.4157
O 0.1074 0.6118 0.0799
O 0.1090 0.6405 0.2552
O 0.1118 0.3926 0.8299
O 0.1115 0.6405 0.9216
O 0.1132 0.1404 0.0775
O 0.1138 0.6377 0.5880
O 0.1170 0.1320 0.4198
O 0.1173 0.3647 0.4976
O 0.1168 0.3939 0.1657
O 0.1166 0.8687 0.9981
O 0.1214 0.1316 0.7453
O 0.1288 0.8586 0.1698
O 0.1313 0.8834 0.5019
O 0.1320 0.1170 0.5802
O 0.1316 0.1214 0.2547
O 0.1353 0.6173 0.7476
O 0.1367 0.8583 0.8369
O 0.1377 0.3862 0.3380
O 0.1404 0.1132 0.9225
O 0.1405 0.3910 0.0052
O 0.1405 0.3885 0.6716
O 0.1414 0.8712 0.3302
O 0.1417 0.8633 0.6631
O 0.3583 0.3633 0.5869
O 0.3586 0.3712 0.9198
O 0.3595 0.8885 0.5784
O 0.3596 0.6132 0.3275
O 0.3595 0.8910 0.2448
O 0.3623 0.8862 0.9120
O 0.3633 0.3583 0.4131
O 0.3647 0.1173 0.5024
O 0.3680 0.6170 0.6698
O 0.3684 0.6214 0.9953
O 0.3687 0.3834 0.7481
O 0.3712 0.3586 0.0802
O 0.3786 0.6316 0.5047
O 0.3834 0.3687 0.2519
O 0.3830 0.6320 0.8302
O 0.3827 0.8647 0.7524
O 0.3832 0.8939 0.0843
O 0.3862 0.1377 0.6620
O 0.3868 0.6404 0.1725
O 0.3885 0.1405 0.3284
O 0.3882 0.8926 0.4201
O 0.3910 0.1405 0.9948
O 0.3926 0.1118 0.1701
O 0.3939 0.1168 0.8343
O 0.6061 0.8832 0.3343
O 0.6074 0.8882 0.6701
O 0.6090 0.8595 0.4948
O 0.6118 0.1074 0.9201
O 0.6115 0.8595 0.8284
O 0.6132 0.3596 0.6725
O 0.6138 0.8623 0.1620
O 0.6168 0.1061 0.5843
O 0.6173 0.1353 0.2524
O 0.6170 0.3680 0.3302
O 0.6166 0.6313 0.7519
O 0.6214 0.3684 0.0047
O 0.6288 0.6414 0.5802
O 0.6313 0.6166 0.2481
O 0.6316 0.3786 0.4953
O 0.6320 0.3830 0.1698
O 0.6353 0.8827 0.0024
O 0.6367 0.6417 0.9131
O 0.6377 0.1138 0.4120
O 0.6405 0.1090 0.7448
O 0.6404 0.3868 0.8275
O 0.6405 0.1115 0.0784
O 0.6414 0.6288 0.4198
O 0.6417 0.6367 0.0869
O 0.8583 0.1367 0.1631
O 0.8586 0.1288 0.8302
O 0.8595 0.6115 0.1716
O 0.8595 0.6090 0.5052
O 0.8596 0.8868 0.4225
O 0.8623 0.6138 0.8380
O 0.8633 0.1417 0.3369
O 0.8647 0.3827 0.2476
O 0.8684 0.8786 0.7547
O 0.8680 0.8830 0.0802
O 0.8687 0.1166 0.0019
O 0.8712 0.1414 0.6698
O 0.8786 0.8684 0.2453
O 0.8834 0.1313 0.4981
O 0.8832 0.6061 0.6657
O 0.8827 0.6353 0.9976
O 0.8830 0.8680 0.9198
O 0.8862 0.3623 0.0880
O 0.8868 0.8596 0.5775
O 0.8885 0.3595 0.4216
O 0.8882 0.6074 0.3299
O 0.8910 0.3595 0.7552
O 0.8926 0.3882 0.5799
O 0.8939 0.3832 0.9157
```

Values from the calculation:
ΔH_f (0 K)   -1588 meV per atom